KV10S16 | GGA-PBE | optimized geometry

Properties
* crystal system: monoclinic
* ΔE_f: -34.8 eV per formula unit
* symmetry: P2/c (13)

Cell: 6.4714 8.4800 17.5567 Å, 75.67 90.00 90.00°
Sites, in units of the cell vectors:
K1 0.3752 0.0000 0.7500
K2 0.6248 0.0000 0.2500
V1 0.6305 0.8588 0.0401
V2 0.6305 0.1412 0.4599
V3 0.1269 0.8612 0.0394
V4 0.1269 0.1388 0.4606
V5 0.3695 0.8588 0.5401
V6 0.3695 0.1412 0.9599
V7 0.8731 0.8612 0.5394
V8 0.8731 0.1388 0.9606
V9 0.3794 0.5059 0.8977
V10 0.3794 0.4941 0.6023
V11 0.8784 0.5046 0.8974
V12 0.8784 0.4954 0.6026
V13 0.6206 0.5059 0.3977
V14 0.6206 0.4941 0.1023
V15 0.1216 0.5046 0.3974
V16 0.1216 0.4954 0.1026
V17 0.6553 0.5000 0.7500
V18 0.1032 0.5000 0.7500
V19 0.3447 0.5000 0.2500
V20 0.8968 0.5000 0.2500
S1 0.6284 0.3271 0.3222
S2 0.8793 0.3142 0.8265
S3 0.6297 0.9946 0.9115
S4 0.6297 0.0054 0.5885
S5 0.1276 0.9955 0.9105
S6 0.1276 0.0045 0.5895
S7 0.3703 0.9946 0.4115
S8 0.3703 0.0054 0.0885
S9 0.8724 0.9955 0.4105
S10 0.8724 0.0045 0.0895
S11 0.3787 0.6601 0.0095
S12 0.3787 0.3399 0.4905
S13 0.8786 0.6582 0.0093
S14 0.8786 0.3418 0.4907
S15 0.1214 0.6582 0.5093
S16 0.1214 0.3418 0.9907
S17 0.6213 0.6601 0.5095
S18 0.6213 0.3399 0.9905
S19 0.6327 0.6848 0.8337
S20 0.6327 0.3152 0.6663
S21 0.1253 0.6842 0.8339
S22 0.1253 0.3158 0.6661
S23 0.3673 0.6848 0.3337
S24 0.3673 0.3152 0.1663
S25 0.8747 0.6842 0.3339
S26 0.8747 0.3158 0.1661
S27 0.6284 0.6729 0.1778
S28 0.3716 0.3271 0.8222
S29 0.1207 0.6858 0.1735
S30 0.1207 0.3142 0.3265
S31 0.3716 0.6729 0.6778
S32 0.8793 0.6858 0.6735